ThCoH4 meta-GGA r2SCAN relaxed; calculated total energy = -17.1527 eV/atom
1.0
1.611 6.016 0.043
-4.864 -3.867 0.431
0.552 -0.181 4.606
Th Co H
2 2 8
Cartesian
1.170 4.575 3.549
-3.870 -2.606 1.531
-0.591 1.887 3.655
-2.109 0.082 1.426
-3.908 -3.175 3.853
1.207 5.144 1.227
-0.114 2.871 2.471
-2.587 -0.902 2.609
0.161 2.781 4.764
-2.862 -0.812 0.316
-1.626 1.075 0.237
-1.350 0.984 2.540

RbAgP2O6 meta-GGA r2SCAN relaxed; calculated total energy = -11.0145 eV/atom
1.0
-1.232 -12.458 4.719
2.280 -2.228 -5.287
7.182 0.096 2.127
Rb Ag P O
4 4 8 24
Cartesian
5.912 -2.647 0.924
2.319 -11.943 0.635
6.112 -9.850 0.924
2.119 -4.740 0.635
6.471 -13.851 2.029
1.759 -0.739 -0.470
4.801 -6.249 2.698
3.429 -8.342 -1.140
5.759 -6.037 -0.540
2.472 -8.553 2.099
5.776 -11.404 4.260
2.454 -3.186 -2.702
5.301 -3.967 -2.587
2.929 -10.623 4.145
-0.468 -8.714 2.340
8.698 -5.876 -0.782
5.227 -12.690 0.333
3.003 -1.900 1.225
6.333 -4.496 3.290
1.898 -10.094 -1.732
4.874 -5.354 0.438
3.356 -9.237 1.121
6.699 -11.696 3.134
1.531 -2.894 -1.576
6.288 -3.081 -1.920
1.942 -11.510 3.479
5.852 -8.236 3.321
2.378 -6.354 -1.762
5.496 -5.469 -2.022
2.734 -9.121 3.580
6.228 -10.059 5.017
2.003 -4.532 -3.459
5.743 -7.521 -0.666
2.488 -7.069 2.225
5.546 -12.414 5.331
2.685 -2.177 -3.773
7.244 -5.527 -0.202
0.986 -9.063 1.761
4.381 -10.997 3.575
3.849 -3.594 -2.016

CeU2O6 meta-GGA r2SCAN relaxed; calculated total energy = -28.9658 eV/atom
1.0
1.928 -3.341 0.000
1.959 3.358 -0.015
-0.044 -0.026 9.345
Ce U O
1 2 6
Cartesian
0.000 0.000 0.000
1.931 1.115 6.214
1.912 -1.123 3.115
0.005 0.003 2.467
1.897 1.095 8.428
1.907 -1.126 5.413
1.946 -1.103 0.902
3.839 -0.011 6.863
1.936 1.118 3.916

USe meta-GGA r2SCAN relaxed; calculated total energy = -48.5320 eV/atom
1.0
0.000 2.957 2.957
2.957 0.000 2.957
2.957 2.957 0.000
U Se
1 1
Cartesian
2.957 2.957 2.957
0.000 0.000 0.000

MnO2 meta-GGA r2SCAN relaxed; calculated total energy = -10.9116 eV/atom
1.0
0.000 2.857 0.000
0.159 0.000 8.887
6.823 -1.429 0.126
Mn O
6 12
Cartesian
4.683 0.008 2.399
4.773 0.007 6.836
2.196 1.434 2.189
2.280 1.433 6.637
6.805 -1.420 0.142
6.893 -1.417 4.575
0.833 1.437 0.888
0.929 1.439 5.318
6.042 0.010 3.698
6.130 0.008 8.143
1.419 0.007 3.125
1.514 0.006 7.579
5.457 1.437 1.458
5.555 1.437 5.901
3.105 0.007 1.330
3.197 0.006 5.779
3.774 1.436 3.256
3.864 1.435 7.690

Ca2Ru2O7 meta-GGA r2SCAN relaxed; calculated total energy = -11.6676 eV/atom
1.0
0.000 5.119 5.119
5.119 0.000 5.119
5.119 5.119 0.000
Ca Ru O
4 4 14
Cartesian
3.839 6.399 3.839
3.839 3.839 6.399
6.399 3.839 3.839
6.399 6.399 6.399
1.280 3.839 3.839
3.839 1.280 3.839
3.839 3.839 1.280
1.280 1.280 1.280
5.119 5.119 2.001
5.119 2.001 5.119
0.558 2.559 2.559
8.236 5.119 5.119
4.561 2.559 2.559
5.119 5.119 8.236
2.559 2.559 4.561
5.119 5.119 5.119
2.559 2.559 0.558
2.559 4.561 2.559
2.559 0.558 2.559
7.678 7.678 7.678
5.119 8.236 5.119
2.001 5.119 5.119

CsErS2 meta-GGA r2SCAN relaxed; calculated total energy = -20.8842 eV/atom
1.0
-2.634 -7.279 -3.226
0.990 -8.159 -1.667
-2.265 -8.042 0.726
Cs Er S
1 1 2
Cartesian
0.000 0.000 0.000
-1.955 -11.740 -2.083
-0.886 -5.321 -0.944
-3.024 -18.159 -3.222

U2BiN2 meta-GGA r2SCAN relaxed; calculated total energy = -48.7704 eV/atom
1.0
6.030 0.953 3.249
3.704 5.643 1.501
-6.199 -3.063 0.030
U Bi N
2 1 2
Cartesian
3.308 2.242 1.614
6.425 4.354 3.135
0.000 0.000 0.000
1.185 2.939 1.953
2.348 0.594 2.827

Yb2AgRh meta-GGA r2SCAN relaxed; calculated total energy = -30.3262 eV/atom
1.0
0.000 3.438 3.438
3.438 0.000 3.438
3.438 3.438 0.000
Yb Ag Rh
2 1 1
Cartesian
1.719 1.719 1.719
5.157 5.157 5.157
3.438 3.438 3.438
0.000 0.000 0.000

TaN meta-GGA r2SCAN relaxed; calculated total energy = -30.2190 eV/atom
1.0
5.208 0.000 0.000
-2.604 4.511 0.000
0.000 0.000 2.915
Ta N
3 3
Cartesian
0.000 0.000 0.000
0.000 3.007 1.457
2.604 1.504 1.457
2.044 0.000 0.000
1.582 2.741 0.000
-1.022 1.770 0.000

CaYbTl2 meta-GGA r2SCAN relaxed; calculated total energy = -37.9138 eV/atom
1.0
0.000 3.779 3.779
3.779 0.000 3.779
3.779 3.779 0.000
Ca Yb Tl
1 1 2
Cartesian
3.779 3.779 3.779
0.000 0.000 0.000
5.668 5.668 5.668
1.889 1.889 1.889

In2Bi meta-GGA r2SCAN relaxed; calculated total energy = -34.4968 eV/atom
1.0
0.529 3.504 6.993
-2.633 4.262 5.872
-0.799 -2.456 2.272
In Bi
2 1
Cartesian
-1.229 0.914 5.764
-1.674 4.396 9.373
0.000 0.000 0.000

Q: Number 8 is which compound?
A: U2BiN2

Q: calculated total energy of number 5 (MnO2)?
A: -10.9116 eV/atom

Q: What is the calculated total energy in the fourth record?
A: -48.5320 eV/atom

Q: Which of these has the highest calculated total energy?
A: MnO2